30
Lattice="6.386 0.000 0.000 2.251 7.007 0.000 2.053 1.245 7.763" Properties=species:S:1:pos:R:3 comment="Zr9ScO20, optimized geometry, DFT PBE" formation_enthalpy_0k_ev_per_atom=-3.695 sg="P1, No. 1" pbc="T T T"
Zr 0.000 0.000 0.000
Zr 3.167 4.722 7.734
Zr 4.315 6.344 4.663
Zr 3.193 0.951 1.607
Zr 4.318 4.437 1.577
Zr 7.473 7.322 6.216
Zr 6.377 3.781 6.203
Zr 6.390 1.894 3.135
Zr 7.539 5.365 3.118
Sc 3.189 2.839 4.666
O 0.891 1.470 1.242
O 2.393 5.191 1.104
O 3.083 4.653 3.560
O 2.273 1.349 3.455
O 5.227 7.793 5.920
O 4.445 4.558 5.801
O 3.047 2.744 0.474
O 4.554 6.472 0.349
O 5.224 5.923 2.794
O 4.458 2.614 2.635
O 5.137 2.108 5.114
O 6.612 5.814 4.984
O 7.258 5.267 7.448
O 6.501 1.982 7.322
O 7.379 7.190 2.014
O 6.613 3.916 1.870
O 7.268 3.403 4.322
O 8.760 7.082 4.217
O 9.416 6.558 6.677
O 8.654 3.242 6.542

12
Lattice="5.216 0.000 0.000 0.000 4.663 0.000 0.000 0.000 7.936" Properties=species:S:1:pos:R:3 comment="SeO2, optimized geometry, DFT PBE" piezo_max_c_m2=0.61 formation_enthalpy_0k_ev_per_atom=-1.144 sg="Pmc2_1, No. 26" pbc="T T T"
Se 0.000 0.538 0.000
Se 0.000 4.125 3.968
Se 2.608 1.178 2.985
Se 2.608 3.484 6.953
O 0.000 1.124 1.542
O 0.000 3.539 5.510
O 1.310 0.725 4.212
O 1.310 3.938 0.244
O 2.608 1.861 7.214
O 2.608 2.802 3.246
O 3.907 0.725 4.212
O 3.907 3.938 0.244

Short version: calculated density = 5.67, 3.82 g cm⁻³, in the order given.
Short version: E (MP2020) = -293.08, -16.82 eV/f.u., in the order given.
Short version: total energy = -9.31, -5.15 eV per atom, in the order given.